1.
## Zr4Pt2N (r²SCAN)

Data for Zr4Pt2N after structural relaxation.

Summary:
- Size of the total moment: 0.0 μB/cell
- Formation energy: -1.341 eV per atom
- Calculated volume: 490.1 Å³/cell

Lattice parameters (Å, degrees): 8.850 8.850 8.850 60.00 60.00 60.00
Sites, in units of the cell vectors:
Pt 0.844 0.844 0.467
Pt 0.467 0.844 0.844
Pt 0.783 0.406 0.406
Pt 0.844 0.844 0.844
Pt 0.406 0.406 0.783
Pt 0.406 0.783 0.406
Pt 0.844 0.467 0.844
Pt 0.406 0.406 0.406
Zr 0.183 0.818 0.818
Zr 0.068 0.432 0.432
Zr 0.182 0.182 0.818
Zr 0.125 0.625 0.625
Zr 0.432 0.068 0.068
Zr 0.068 0.432 0.068
Zr 0.432 0.432 0.068
Zr 0.625 0.125 0.625
Zr 0.432 0.068 0.432
Zr 0.818 0.182 0.182
Zr 0.818 0.182 0.818
Zr 0.068 0.068 0.432
Zr 0.182 0.818 0.182
Zr 0.818 0.818 0.182
Zr 0.625 0.625 0.125
Zr 0.625 0.625 0.625
N 0.125 0.625 0.125
N 0.125 0.125 0.625
N 0.125 0.125 0.125
N 0.625 0.125 0.125

=====

2.
## PuN (r²SCAN)

Data for PuN after structural relaxation.

Summary:
- Size of the total moment: 4.9 μB/cell
- Formation energy: -1.675 eV per atom
- Calculated volume: 30.3 Å³/cell

Lattice parameters (Å, degrees): 3.499 3.499 3.499 60.00 60.00 60.00
Sites, in units of the cell vectors:
N 0.500 0.500 0.500
Pu 0.000 0.000 0.000

=====

Repeat the first record exactly.
## Zr4Pt2N (r²SCAN)

Data for Zr4Pt2N after structural relaxation.

Summary:
- Size of the total moment: 0.0 μB/cell
- Formation energy: -1.341 eV per atom
- Calculated volume: 490.1 Å³/cell

Lattice parameters (Å, degrees): 8.850 8.850 8.850 60.00 60.00 60.00
Sites, in units of the cell vectors:
Pt 0.844 0.844 0.467
Pt 0.467 0.844 0.844
Pt 0.783 0.406 0.406
Pt 0.844 0.844 0.844
Pt 0.406 0.406 0.783
Pt 0.406 0.783 0.406
Pt 0.844 0.467 0.844
Pt 0.406 0.406 0.406
Zr 0.183 0.818 0.818
Zr 0.068 0.432 0.432
Zr 0.182 0.182 0.818
Zr 0.125 0.625 0.625
Zr 0.432 0.068 0.068
Zr 0.068 0.432 0.068
Zr 0.432 0.432 0.068
Zr 0.625 0.125 0.625
Zr 0.432 0.068 0.432
Zr 0.818 0.182 0.182
Zr 0.818 0.182 0.818
Zr 0.068 0.068 0.432
Zr 0.182 0.818 0.182
Zr 0.818 0.818 0.182
Zr 0.625 0.625 0.125
Zr 0.625 0.625 0.625
N 0.125 0.625 0.125
N 0.125 0.125 0.625
N 0.125 0.125 0.125
N 0.625 0.125 0.125

=====

> Which of these has the highest size of the total moment?

PuN

=====

> calculated volume of number 2 (PuN)?

30.3 Å³/cell

=====

What did the second record say?
## PuN (r²SCAN)

Data for PuN after structural relaxation.

Summary:
- Size of the total moment: 4.9 μB/cell
- Formation energy: -1.675 eV per atom
- Calculated volume: 30.3 Å³/cell

Lattice parameters (Å, degrees): 3.499 3.499 3.499 60.00 60.00 60.00
Sites, in units of the cell vectors:
N 0.500 0.500 0.500
Pu 0.000 0.000 0.000